VASP calculation (PBE) on a relaxed LiBH2C4O9 crystal.

Values from the calculation:
symmetry = Pbca
crystal system = orthorhombic
formation enthalpy at 0 K = -1.73 eV/atom

Cell lengths 5.656, 16.078, 16.267 Å; angles 90.00, 90.00, 90.00 degrees
Element x y z (fractional)
Li: 0.623 0.248 0.154
Li: 0.377 0.252 0.654
Li: 0.877 0.748 0.846
Li: 0.123 0.752 0.346
Li: 0.377 0.752 0.846
Li: 0.623 0.748 0.346
Li: 0.123 0.252 0.154
Li: 0.877 0.248 0.654
B: 0.719 0.443 0.910
B: 0.281 0.057 0.410
B: 0.781 0.943 0.090
B: 0.219 0.557 0.590
B: 0.281 0.557 0.090
B: 0.719 0.943 0.590
B: 0.219 0.057 0.910
B: 0.781 0.443 0.410
H: 0.367 0.228 0.291
H: 0.633 0.272 0.791
H: 0.133 0.728 0.709
H: 0.867 0.772 0.209
H: 0.633 0.772 0.709
H: 0.367 0.728 0.209
H: 0.867 0.272 0.291
H: 0.133 0.228 0.791
H: 0.336 0.146 0.238
H: 0.664 0.354 0.738
H: 0.164 0.646 0.762
H: 0.836 0.854 0.262
H: 0.664 0.854 0.762
H: 0.336 0.646 0.262
H: 0.836 0.354 0.238
H: 0.164 0.146 0.738
C: 0.853 0.346 0.004
C: 0.147 0.154 0.504
C: 0.647 0.846 0.996
C: 0.353 0.654 0.496
C: 0.147 0.654 0.996
C: 0.853 0.846 0.496
C: 0.353 0.154 0.004
C: 0.647 0.346 0.504
C: 0.980 0.333 0.921
C: 0.020 0.167 0.421
C: 0.520 0.833 0.079
C: 0.480 0.667 0.579
C: 0.020 0.667 0.079
C: 0.980 0.833 0.579
C: 0.480 0.167 0.921
C: 0.520 0.333 0.421
C: 0.625 0.574 0.867
C: 0.375 0.926 0.367
C: 0.875 0.074 0.133
C: 0.125 0.426 0.633
C: 0.375 0.426 0.133
C: 0.625 0.074 0.633
C: 0.125 0.926 0.867
C: 0.875 0.574 0.367
C: 0.431 0.513 0.838
C: 0.569 0.987 0.338
C: 0.069 0.013 0.162
C: 0.931 0.487 0.662
C: 0.569 0.487 0.162
C: 0.431 0.013 0.662
C: 0.931 0.987 0.838
C: 0.069 0.513 0.338
O: 0.489 0.438 0.867
O: 0.511 0.062 0.367
O: 0.011 0.938 0.133
O: 0.989 0.562 0.633
O: 0.511 0.562 0.133
O: 0.489 0.938 0.633
O: 0.989 0.062 0.867
O: 0.011 0.438 0.367
O: 0.878 0.304 0.066
O: 0.122 0.196 0.566
O: 0.622 0.804 0.934
O: 0.378 0.696 0.434
O: 0.122 0.696 0.934
O: 0.878 0.804 0.434
O: 0.378 0.196 0.066
O: 0.622 0.304 0.566
O: 0.630 0.649 0.852
O: 0.370 0.851 0.352
O: 0.870 0.149 0.148
O: 0.130 0.351 0.648
O: 0.370 0.351 0.148
O: 0.630 0.149 0.648
O: 0.130 0.851 0.852
O: 0.870 0.649 0.352
O: 0.705 0.409 0.996
O: 0.295 0.091 0.496
O: 0.795 0.909 0.004
O: 0.205 0.591 0.504
O: 0.295 0.591 0.004
O: 0.705 0.909 0.504
O: 0.205 0.091 0.996
O: 0.795 0.409 0.496
O: 0.121 0.278 0.904
O: 0.879 0.222 0.404
O: 0.379 0.778 0.096
O: 0.621 0.722 0.596
O: 0.879 0.722 0.096
O: 0.121 0.778 0.596
O: 0.621 0.222 0.904
O: 0.379 0.278 0.404
O: 0.259 0.530 0.797
O: 0.741 0.970 0.297
O: 0.241 0.030 0.203
O: 0.759 0.470 0.703
O: 0.741 0.470 0.203
O: 0.259 0.030 0.703
O: 0.759 0.970 0.797
O: 0.241 0.530 0.297
O: 0.785 0.532 0.909
O: 0.215 0.968 0.409
O: 0.715 0.032 0.091
O: 0.285 0.468 0.591
O: 0.215 0.468 0.091
O: 0.785 0.032 0.591
O: 0.285 0.968 0.909
O: 0.715 0.532 0.409
O: 0.901 0.390 0.869
O: 0.099 0.110 0.369
O: 0.599 0.890 0.131
O: 0.401 0.610 0.631
O: 0.099 0.610 0.131
O: 0.901 0.890 0.631
O: 0.401 0.110 0.869
O: 0.599 0.390 0.369
O: 0.373 0.206 0.235
O: 0.627 0.294 0.735
O: 0.127 0.706 0.765
O: 0.873 0.794 0.265
O: 0.627 0.794 0.765
O: 0.373 0.706 0.265
O: 0.873 0.294 0.235
O: 0.127 0.206 0.735